12
Lattice="8.7360 0.0000 0.0000 0.0000 2.7718 4.6281 0.0000 -2.7718 4.6281" Properties=species:S:1:pos:R:3 comment="MgAlAg (PBE, relaxed)" delta_e_f_ev_per_atom=-0.14 crystal_system=orthorhombic total_magnetization_mub_per_cell=0.005 sg="No. 38" pbc="T T T"
Mg 1.6194 0.0000 0.0000
Mg 2.7471 0.0000 3.0972
Mg 5.9890 0.0000 3.0972
Mg 7.1167 0.0000 0.0000
Al 0.0000 0.0000 4.6791
Al 4.3680 -1.4598 5.4117
Al 4.3680 0.0000 7.7631
Al 4.3680 1.4598 5.4117
Ag 0.0000 -1.3629 2.4247
Ag 0.0000 1.3629 2.4247
Ag 2.2859 0.0000 6.0879
Ag 6.4501 0.0000 6.0879